No. 1
Below is Zn2Hg2H2S2O11 after structural relaxation, with properties calculated at the PBE level.

CIF file:
```
data_Zn2Hg2H2S2O11
_symmetry_space_group_name_H-M 'P b c m'
_symmetry_Int_Tables_number 57
_cell_length_a 6.208
_cell_length_b 11.420
_cell_length_c 13.271
_cell_angle_alpha 90.00
_cell_angle_beta 90.00
_cell_angle_gamma 90.00
loop_
_symmetry_equiv_pos_as_xyz
'x,y,z'
'-x,-y,-z'
'-x,-y,z+1/2'
'x,y,-z+1/2'
'x,-y+1/2,-z'
'-x,y+1/2,z'
'-x,y+1/2,-z+1/2'
'x,-y+1/2,z+1/2'
loop_
_atom_site_label
_atom_site_fract_x
_atom_site_fract_y
_atom_site_fract_z
Zn1 0.017 0.166 0.125
Hg1 0.203 0.081 0.750
Hg2 0.478 0.670 0.250
H1 0.306 0.192 0.531
S1 0.269 0.590 0.578
O1 0.112 0.664 0.635
O2 0.167 0.602 0.250
O3 0.204 0.250 0.000
O4 0.211 0.233 0.250
O5 0.222 0.596 0.032
O6 0.247 0.033 0.115
O7 0.491 0.631 0.599
```

Computed properties:
Total magnetization: 0.000 μB/cell
Corrected total energy (MP2020 scheme): -5.38 eV per atom
Calculated formation energy: -1554 meV/atom

No. 2
Below is PbCl2 after structural relaxation, with properties calculated at the PBE level.

CIF file:
```
data_PbCl2
_symmetry_space_group_name_H-M 'P 1 21/c 1'
_symmetry_Int_Tables_number 14
_cell_length_a 10.069
_cell_length_b 4.244
_cell_length_c 15.626
_cell_angle_alpha 90.00
_cell_angle_beta 90.18
_cell_angle_gamma 90.00
loop_
_symmetry_equiv_pos_as_xyz
'x,y,z'
'-x,-y,-z'
'-x,y+1/2,-z+1/2'
'x,-y+1/2,z+1/2'
loop_
_atom_site_label
_atom_site_fract_x
_atom_site_fract_y
_atom_site_fract_z
Pb1 0.154 0.246 0.405
Pb2 0.345 0.218 0.656
Cl1 0.053 0.250 0.083
Cl2 0.192 0.747 0.748
Cl3 0.306 0.743 0.998
Cl4 0.448 0.236 0.833
```

Computed properties:
Total magnetization: 0.002 μB/cell
Corrected total energy (MP2020 scheme): -4.01 eV per atom
Calculated formation energy: -1538 meV/atom